{
  "formula": "NaLiVO2F2",
  "functional": "GGA+U",
  "state": "optimized geometry",
  "final_energy_ev_per_cell": -164.55,
  "cell": [[5.738, -2.309, 2.568], [0.175, -1.925, 6.881], [-2.035, -7.252, -1.978]],
  "species": ["O", "O", "O", "O", "O", "O", "O", "O", "Na", "Na", "Na", "Na", "Li", "Li", "Li", "Li", "V", "V", "V", "V", "F", "F", "F", "F", "F", "F", "F", "F"],
  "fractional_positions": [[0.689, 0.464, 0.621], [0.689, 0.465, 0.121], [0.311, 0.535, 0.871], [0.074, 0.869, 0.621], [0.926, 0.131, 0.871], [0.074, 0.869, 0.121], [0.311, 0.536, 0.371], [0.926, 0.131, 0.371], [0.670, 0.809, 0.621], [0.330, 0.191, 0.871], [0.330, 0.191, 0.371], [0.670, 0.809, 0.121], [0.612, 0.541, 0.371], [0.388, 0.459, 0.121], [0.612, 0.541, 0.871], [0.388, 0.459, 0.621], [0.114, 0.810, 0.371], [0.885, 0.190, 0.121], [0.115, 0.810, 0.871], [0.886, 0.190, 0.621], [0.406, 0.846, 0.871], [0.854, 0.758, 0.371], [0.146, 0.242, 0.621], [0.406, 0.846, 0.371], [0.854, 0.758, 0.871], [0.146, 0.242, 0.121], [0.594, 0.154, 0.120], [0.594, 0.154, 0.620]]
}